Entry 1:
Density functional theory data (PBE) for an optimized crystal structure of Cs2InSbCl6.

Calculated values
**SG**: Fm-3m

```
10
Lattice="1.255 -4.392 6.592 -5.057 0.541 6.202 -4.888 -6.117 1.734" Properties=species:S:1:pos:R:3 pbc="T T T"
Cs -6.517 -7.477 10.896
Cs -2.172 -2.492 3.632
In -4.345 -4.984 7.264
Sb 0.000 0.000 0.000
Cl -1.388 -4.672 6.909
Cl -4.632 -5.583 4.344
Cl -7.301 -5.297 7.618
Cl -4.721 -2.067 6.703
Cl -3.969 -7.902 7.824
Cl -4.058 -4.386 10.183
```

=====

Entry 2:
Density functional theory data (PBE) for an optimized crystal structure of Cs2YInCl6.

Calculated values
**SG**: Fm-3m

```
10
Lattice="0.000 5.722 5.722 5.722 0.000 5.722 5.722 5.722 0.000" Properties=species:S:1:pos:R:3 pbc="T T T"
Cs 8.584 8.584 8.584
Cs 2.861 2.861 2.861
Y 0.000 0.000 0.000
In 5.722 5.722 5.722
Cl 2.647 5.722 5.722
Cl 5.722 5.722 2.647
Cl 8.798 5.722 5.722
Cl 5.722 2.647 5.722
Cl 5.722 8.798 5.722
Cl 5.722 5.722 8.798
```

=====

Entry 3:
Density functional theory data (PBE) for an optimized crystal structure of Cs2IrCl5O.

Calculated values
**SG**: Cmcm

```
18
Lattice="3.596 -8.975 0.000 3.596 8.975 0.000 0.000 0.000 8.724" Properties=species:S:1:pos:R:3 pbc="T T T"
Cs 3.596 -0.507 6.543
Cs 3.596 0.507 2.181
Cs 3.596 4.648 6.543
Cs 3.596 -4.648 2.181
Ir 3.596 -7.005 6.543
Ir 3.596 7.005 2.181
Cl 3.596 -4.594 6.543
Cl 3.596 4.594 2.181
Cl 5.513 2.060 4.866
Cl 5.513 -2.060 3.858
Cl 5.513 2.060 8.220
Cl 5.513 -2.060 0.504
Cl 1.678 -2.060 3.858
Cl 1.678 2.060 4.866
Cl 1.678 -2.060 0.504
Cl 1.678 2.060 8.220
O 3.596 -8.814 6.543
O 3.596 8.814 2.181
```

=====

Entry 4:
Density functional theory data (PBE) for an optimized crystal structure of Cs2KMoCl6.

Calculated values
**SG**: Fm-3m

```
10
Lattice="0.000 5.497 5.497 5.497 0.000 5.497 5.497 5.497 0.000" Properties=species:S:1:pos:R:3 pbc="T T T"
Cs 8.246 8.246 8.246
Cs 2.749 2.749 2.749
K 5.497 5.497 5.497
Mo 0.000 0.000 0.000
Cl 2.467 5.497 5.497
Cl 5.497 5.497 2.467
Cl 8.528 5.497 5.497
Cl 5.497 2.467 5.497
Cl 5.497 8.528 5.497
Cl 5.497 5.497 8.528
```

=====

Entry 5:
Density functional theory data (PBE) for an optimized crystal structure of Cs2KNdCl6.

Calculated values
**SG**: Fm-3m

```
10
Lattice="0.000 5.767 5.767 5.767 0.000 5.767 5.767 5.767 0.000" Properties=species:S:1:pos:R:3 pbc="T T T"
Cs 8.651 8.651 8.651
Cs 2.884 2.884 2.884
K 5.767 5.767 5.767
Nd 0.000 0.000 0.000
Cl 2.734 5.767 5.767
Cl 5.767 5.767 2.734
Cl 8.800 5.767 5.767
Cl 5.767 2.734 5.767
Cl 5.767 8.800 5.767
Cl 5.767 5.767 8.800
```

=====

Entry 6:
Density functional theory data (PBE) for an optimized crystal structure of CsK2SbCl6.

Calculated values
**SG**: Fm-3m

```
10
Lattice="-2.897 -4.035 6.703 1.516 2.983 7.643 -6.205 3.300 4.497" Properties=species:S:1:pos:R:3 pbc="T T T"
Cs -3.793 1.124 9.422
K -5.689 1.686 14.133
K -1.896 0.562 4.711
Sb 0.000 0.000 0.000
Cl -3.301 -1.709 7.929
Cl -5.117 2.319 6.718
Cl -4.285 3.956 10.914
Cl -0.878 2.145 8.445
Cl -6.708 0.103 10.398
Cl -2.468 -0.071 12.126
```

=====

Entry 7:
Density functional theory data (PBE) for an optimized crystal structure of Cs2KScCl6.

Calculated values
**SG**: Fm-3m

```
10
Lattice="-4.651 0.814 6.256 -3.119 6.991 1.682 -7.686 1.195 -0.960" Properties=species:S:1:pos:R:3 pbc="T T T"
Cs -11.592 6.750 5.233
Cs -3.864 2.250 1.744
K -7.728 4.500 3.489
Sc 0.000 0.000 0.000
Cl -6.041 2.479 5.006
Cl -7.705 2.689 1.050
Cl -9.415 6.521 1.972
Cl -5.202 5.866 2.498
Cl -10.255 3.135 4.479
Cl -7.751 6.312 5.928
```

=====

Entry 8:
Density functional theory data (PBE) for an optimized crystal structure of CsK2ScCl6.

Calculated values
**SG**: Fm-3m

```
10
Lattice="0.000 5.733 5.733 5.733 0.000 5.733 5.733 5.733 0.000" Properties=species:S:1:pos:R:3 pbc="T T T"
Cs 5.733 5.733 5.733
K 8.599 8.599 8.599
K 2.866 2.866 2.866
Sc 0.000 0.000 0.000
Cl 2.497 5.733 5.733
Cl 5.733 5.733 2.497
Cl 8.968 5.733 5.733
Cl 5.733 2.497 5.733
Cl 5.733 8.968 5.733
Cl 5.733 5.733 8.968
```

=====

Sequential formation energy from the elements output: -166.11, -219.44, -118.88, -186.76, -240.87, -173.32, -237.04, -223.77 kJ per mole of atoms